Compound: Cu2Se
Source: the Materials Project database
Functional: PBE
Structure: relaxed

Structure (extended XYZ):
```
3
Lattice="0.0000 2.9010 2.9010 2.9010 0.0000 2.9010 2.9010 2.9010 0.0000" Properties=species:S:1:pos:R:3 pbc="T T T"
Cu 1.4505 1.4505 1.4505
Cu 4.3515 4.3515 4.3515
Se 0.0000 0.0000 0.0000
```

Computed properties:
calculated formation energy = -0.135 eV/atom
crystal system = cubic
electronic total energy = -11.628 eV per cell
spin magnetization = 0.0 μB/f.u.